The following is a DFT calculation (PBE with a Hubbard U) of a relaxed MgMn6O5F7 crystal.

abc: 7.3647 5.9047 6.0910
angles: 77.26 72.20 72.97
Positions (direct):
F1 0.3773 0.4134 0.4047
F2 0.0286 0.6614 0.2849
F3 0.2969 0.9277 0.9228
F4 0.9596 0.3243 0.6939
F5 0.3703 0.4123 0.9192
F6 0.6575 0.0577 0.6764
F7 0.6734 0.5916 0.9824
O1 0.7108 0.0955 0.0991
O2 0.6287 0.5705 0.5290
O3 0.3225 0.9563 0.3948
O4 0.9583 0.1951 0.2433
O5 0.0488 0.7880 0.7756
Mg1 0.6651 0.3341 0.8146
Mn1 0.3322 0.6964 0.6437
Mn2 0.1572 0.2889 0.3412
Mn3 0.6749 0.3221 0.3234
Mn4 0.5126 0.9168 0.0892
Mn5 0.8619 0.7267 0.6167
Mn6 0.0043 0.9815 0.0158

Calculated values
Offset from the most stable computed form   0.5 kJ per mole of atoms
Final energy   -126.502 eV for the cell shown
Symmetry   P1
Energy relative to the elements   -2.551 eV/atom



The following is a DFT calculation (PBE with a Hubbard U) of a relaxed MgMn6O7F5 crystal.

abc: 5.1988 7.6891 5.8776
angles: 97.34 79.69 95.08
Positions (direct):
Mg1 0.0311 0.1742 0.6549
O1 0.8516 0.4256 0.6461
O2 0.4148 0.2280 0.5417
O3 0.1859 0.9222 0.7179
O4 0.8244 0.7623 0.9787
O5 0.3654 0.9164 0.2129
O6 0.8734 0.0831 0.3585
O7 0.5973 0.4511 0.1132
Mn1 0.4921 0.6859 0.1462
Mn2 0.7872 0.3358 0.3064
Mn3 0.0056 0.6722 0.6820
Mn4 0.5105 0.3517 0.8268
Mn5 0.0744 0.9627 0.0714
Mn6 0.5222 0.9904 0.5168
F1 0.1398 0.2486 0.9810
F2 0.6606 0.7607 0.4881
F3 0.6880 0.1077 0.8372
F4 0.3132 0.5846 0.8400
F5 0.1627 0.6034 0.3539

Calculated values
Offset from the most stable computed form   2.5 kJ per mole of atoms
Final energy   -128.857 eV for the cell shown
Symmetry   P1
Energy relative to the elements   -2.379 eV/atom



The following is a DFT calculation (PBE with a Hubbard U) of a relaxed MgMn12O17F7 crystal.

abc: 4.7689 5.6518 15.1466
angles: 88.81 90.70 90.29
Positions (direct):
O1 0.2103 0.9054 0.8047
O2 0.2492 0.8863 0.1308
O3 0.6982 0.6348 0.8640
O4 0.2580 0.4202 0.8154
O5 0.2379 0.0733 0.3002
O6 0.7288 0.5997 0.5268
O7 0.2013 0.1202 0.9669
O8 0.2822 0.3617 0.4786
O9 0.2888 0.3941 0.1485
O10 0.2015 0.1424 0.6428
O11 0.2610 0.5784 0.3208
O12 0.7345 0.6064 0.1948
O13 0.7046 0.4134 0.6991
O14 0.2582 0.6345 0.6493
O15 0.7153 0.3828 0.0290
O16 0.2297 0.8399 0.4693
O17 0.7381 0.3491 0.3646
Mn1 0.4828 0.3663 0.5953
Mn2 0.0399 0.1057 0.4075
Mn3 0.0216 0.1627 0.0773
Mn4 0.0480 0.8095 0.2360
Mn5 0.4867 0.3569 0.9203
Mn6 0.0144 0.8520 0.5933
Mn7 0.4701 0.6622 0.7585
Mn8 0.9907 0.8474 0.9101
Mn9 0.5097 0.6294 0.0916
Mn10 0.4904 0.6081 0.4227
Mn11 0.0041 0.1913 0.7491
Mn12 0.5065 0.3348 0.2542
F1 0.7963 0.0903 0.5185
F2 0.7644 0.8260 0.3604
F3 0.7256 0.9015 0.6962
F4 0.7572 0.1383 0.8518
F5 0.7888 0.1098 0.1880
F6 0.2514 0.6183 0.9883
F7 0.7515 0.8678 0.0242
Mg1 0.9910 0.5721 0.4262

Calculated values
Offset from the most stable computed form   3.4 kJ per mole of atoms
Final energy   -251.648 eV for the cell shown
Symmetry   P1
Energy relative to the elements   -2.095 eV/atom



The following is a DFT calculation (PBE with a Hubbard U) of a relaxed MgMn4O4F4 crystal.

abc: 5.4857 5.2495 6.4767
angles: 85.99 91.82 101.63
Positions (direct):
Mn1 0.8462 0.0036 0.6813
Mn2 0.1094 0.1302 0.1717
Mn3 0.2586 0.4802 0.6627
Mn4 0.7970 0.5129 0.3967
O1 0.9731 0.6969 0.6088
O2 0.0204 0.2508 0.4291
O3 0.8961 0.7906 0.1740
O4 0.0843 0.2117 0.8840
F1 0.5011 0.7737 0.8419
F2 0.5125 0.2091 0.1763
F3 0.4496 0.6794 0.3726
F4 0.5727 0.2668 0.6177
Mg1 0.5663 0.8692 0.1186

Calculated values
Offset from the most stable computed form   12.7 kJ per mole of atoms
Final energy   -85.558 eV for the cell shown
Symmetry   P1
Energy relative to the elements   -2.394 eV/atom



The following is a DFT calculation (PBE with a Hubbard U) of a relaxed MgMn12O17F7 crystal.

abc: 4.7760 5.6554 15.1475
angles: 91.26 90.14 90.55
Positions (direct):
Mn1 0.0268 0.8287 0.2444
Mn2 0.9946 0.1591 0.0821
Mn3 0.4949 0.3644 0.2549
Mn4 0.9708 0.8177 0.9163
Mn5 0.4828 0.6246 0.0940
Mn6 0.5094 0.6579 0.4197
Mn7 0.4829 0.6373 0.7627
Mn8 0.0423 0.1941 0.4012
Mn9 0.5043 0.4016 0.5887
Mn10 0.4703 0.3189 0.9231
Mn11 0.0538 0.8967 0.5715
Mn12 0.0301 0.1411 0.7566
O1 0.2409 0.1135 0.2949
O2 0.2788 0.4288 0.4848
O3 0.2481 0.9248 0.4644
O4 0.7337 0.4076 0.6920
O5 0.6964 0.5904 0.8678
O6 0.2041 0.8561 0.8108
O7 0.2837 0.6003 0.3162
O8 0.6921 0.3690 0.0316
O9 0.2934 0.6452 0.6439
O10 0.7252 0.3908 0.3596
O11 0.2666 0.3962 0.1504
O12 0.2419 0.1671 0.6338
O13 0.7121 0.6148 0.1955
O14 0.2123 0.8766 0.1353
O15 0.1779 0.0954 0.9723
O16 0.2562 0.3595 0.8159
O17 0.7508 0.6494 0.5290
F1 0.7787 0.1783 0.5260
F2 0.7225 0.8569 0.0276
F3 0.7552 0.1297 0.1930
F4 0.7310 0.0845 0.8529
F5 0.8097 0.9125 0.6812
F6 0.7770 0.8790 0.3569
F7 0.2337 0.5953 0.9895
Mg1 0.0038 0.4314 0.5927

Calculated values
Offset from the most stable computed form   3.3 kJ per mole of atoms
Final energy   -251.657 eV for the cell shown
Symmetry   P1
Energy relative to the elements   -2.095 eV/atom



The following is a DFT calculation (PBE with a Hubbard U) of a relaxed MgMn6O5F7 crystal.

abc: 7.7292 6.1449 5.9887
angles: 73.36 69.81 67.28
Positions (direct):
O1 0.3696 0.9532 0.3744
O2 0.0546 0.8415 0.7638
O3 0.9361 0.2159 0.2472
O4 0.7068 0.1060 0.1045
O5 0.6041 0.5209 0.5552
Mn1 0.9944 0.0281 0.0069
Mn2 0.4863 0.0568 0.9810
Mn3 0.3294 0.6911 0.6459
Mn4 0.8942 0.6817 0.7204
Mn5 0.6547 0.3253 0.3246
Mn6 0.1399 0.2806 0.3537
F1 0.3651 0.4262 0.3978
F2 0.3003 0.4091 0.9421
F3 0.2833 0.9255 0.9387
F4 0.6481 0.9745 0.6212
F5 0.0136 0.3239 0.7175
F6 0.6835 0.6777 0.0553
F7 0.9534 0.6765 0.3366
Mg1 0.6659 0.8125 0.3509

Calculated values
Offset from the most stable computed form   0.8 kJ per mole of atoms
Final energy   -126.443 eV for the cell shown
Symmetry   P1
Energy relative to the elements   -2.548 eV/atom



The following is a DFT calculation (PBE with a Hubbard U) of a relaxed MgMn12O17F7 crystal.

abc: 4.6418 5.7531 15.4327
angles: 86.40 90.63 92.90
Positions (direct):
O1 0.7058 0.6909 0.2016
O2 0.7326 0.3748 0.6911
O3 0.2869 0.5877 0.6456
O4 0.2376 0.1110 0.6330
O5 0.2602 0.0422 0.9562
O6 0.2589 0.4203 0.4849
O7 0.7282 0.5793 0.8584
O8 0.6888 0.4429 0.3676
O9 0.7038 0.2551 0.0300
O10 0.7234 0.6253 0.5287
O11 0.2245 0.8976 0.4751
O12 0.1727 0.9705 0.1347
O13 0.2873 0.3572 0.8046
O14 0.2542 0.6606 0.3218
O15 0.2802 0.4386 0.1436
O16 0.2510 0.8442 0.7942
O17 0.1942 0.1840 0.3146
Mn1 0.5059 0.6075 0.7505
Mn2 0.0295 0.8266 0.5797
Mn3 0.4982 0.3695 0.5892
Mn4 0.1593 0.2244 0.0541
Mn5 0.4760 0.6710 0.4288
Mn6 0.4465 0.4295 0.2694
Mn7 0.9924 0.2071 0.4223
Mn8 0.0240 0.9046 0.2582
Mn9 0.0366 0.1375 0.7364
Mn10 0.6938 0.4977 0.1078
Mn11 0.5259 0.2907 0.9053
Mn12 0.0361 0.7900 0.9006
F1 0.8009 0.0782 0.8420
F2 0.7365 0.9265 0.3697
F3 0.7732 0.8538 0.6864
F4 0.7472 0.1470 0.5296
F5 0.7061 0.1939 0.2068
F6 0.7642 0.7708 0.0216
F7 0.2194 0.5104 0.9748
Mg1 0.6019 0.9620 0.1142

Calculated values
Offset from the most stable computed form   2.6 kJ per mole of atoms
Final energy   -251.959 eV for the cell shown
Symmetry   P1
Energy relative to the elements   -2.103 eV/atom



The following is a DFT calculation (PBE with a Hubbard U) of a relaxed MgMn6O7F5 crystal.

abc: 5.1242 7.8375 5.7567
angles: 96.02 95.43 85.77
Positions (direct):
Mn1 0.5458 0.6501 0.1686
Mn2 0.9667 0.0112 0.9683
Mn3 0.9760 0.6469 0.7325
Mn4 0.5320 0.0265 0.4861
Mn5 0.4845 0.3350 0.8295
Mn6 0.9938 0.3173 0.3289
O1 0.7059 0.4162 0.1235
O2 0.3070 0.5620 0.8930
O3 0.6705 0.1128 0.7819
O4 0.3149 0.2439 0.5166
O5 0.6992 0.7751 0.4875
O6 0.8531 0.7839 0.0087
O7 0.8567 0.0767 0.2788
F1 0.3304 0.8977 0.2036
F2 0.1777 0.2167 0.0128
F3 0.8086 0.4230 0.6243
F4 0.1616 0.9075 0.6827
F5 0.1541 0.5896 0.3976
Mg1 0.0171 0.8331 0.3500

Calculated values
Offset from the most stable computed form   5.5 kJ per mole of atoms
Final energy   -128.277 eV for the cell shown
Symmetry   P1
Energy relative to the elements   -2.349 eV/atom



What did the seventh record say?
The following is a DFT calculation (PBE with a Hubbard U) of a relaxed MgMn12O17F7 crystal.

abc: 4.6418 5.7531 15.4327
angles: 86.40 90.63 92.90
Positions (direct):
O1 0.7058 0.6909 0.2016
O2 0.7326 0.3748 0.6911
O3 0.2869 0.5877 0.6456
O4 0.2376 0.1110 0.6330
O5 0.2602 0.0422 0.9562
O6 0.2589 0.4203 0.4849
O7 0.7282 0.5793 0.8584
O8 0.6888 0.4429 0.3676
O9 0.7038 0.2551 0.0300
O10 0.7234 0.6253 0.5287
O11 0.2245 0.8976 0.4751
O12 0.1727 0.9705 0.1347
O13 0.2873 0.3572 0.8046
O14 0.2542 0.6606 0.3218
O15 0.2802 0.4386 0.1436
O16 0.2510 0.8442 0.7942
O17 0.1942 0.1840 0.3146
Mn1 0.5059 0.6075 0.7505
Mn2 0.0295 0.8266 0.5797
Mn3 0.4982 0.3695 0.5892
Mn4 0.1593 0.2244 0.0541
Mn5 0.4760 0.6710 0.4288
Mn6 0.4465 0.4295 0.2694
Mn7 0.9924 0.2071 0.4223
Mn8 0.0240 0.9046 0.2582
Mn9 0.0366 0.1375 0.7364
Mn10 0.6938 0.4977 0.1078
Mn11 0.5259 0.2907 0.9053
Mn12 0.0361 0.7900 0.9006
F1 0.8009 0.0782 0.8420
F2 0.7365 0.9265 0.3697
F3 0.7732 0.8538 0.6864
F4 0.7472 0.1470 0.5296
F5 0.7061 0.1939 0.2068
F6 0.7642 0.7708 0.0216
F7 0.2194 0.5104 0.9748
Mg1 0.6019 0.9620 0.1142

Calculated values
Offset from the most stable computed form   2.6 kJ per mole of atoms
Final energy   -251.959 eV for the cell shown
Symmetry   P1
Energy relative to the elements   -2.103 eV/atom